(1)
Ho2CdHg after structural relaxation, computed with GGA-PBE.

POSCAR file:
```
Ho2CdHg
1.0
0.000 3.723 3.723
3.723 0.000 3.723
3.723 3.723 0.000
Ho Cd Hg
2 1 1
Direct
0.250 0.250 0.250
0.750 0.750 0.750
0.000 0.000 0.000
0.500 0.500 0.500
```

E	-2.989	eV/atom
crystal system	cubic
SG	Fm-3m, No. 225
ΔE_f	-9.0	kcal/mol of atoms

(2)
CdHg6Sb4I6 after structural relaxation, computed with GGA-PBE.

POSCAR file:
```
CdHg6Sb4I6
1.0
9.708 -9.923 0.000
9.708 9.923 0.000
-0.293 0.000 13.814
Cd Hg Sb I
4 24 16 24
Direct
0.232 0.260 0.174
0.260 0.232 0.674
0.740 0.768 0.326
0.768 0.740 0.826
0.004 0.996 0.250
0.014 0.503 0.250
0.019 0.251 0.463
0.019 0.755 0.027
0.244 0.509 0.504
0.244 0.528 0.996
0.245 0.981 0.473
0.251 0.019 0.963
0.457 0.543 0.750
0.472 0.756 0.504
0.491 0.756 0.996
0.497 0.986 0.250
0.503 0.014 0.750
0.509 0.244 0.004
0.528 0.244 0.496
0.543 0.457 0.250
0.749 0.981 0.037
0.755 0.019 0.527
0.756 0.472 0.004
0.756 0.491 0.496
0.981 0.245 0.973
0.981 0.749 0.537
0.986 0.497 0.750
0.996 0.004 0.750
0.055 0.063 0.935
0.061 0.562 0.063
0.063 0.055 0.435
0.063 0.447 0.437
0.433 0.564 0.552
0.436 0.567 0.948
0.438 0.939 0.437
0.447 0.063 0.937
0.553 0.937 0.063
0.562 0.061 0.563
0.564 0.433 0.052
0.567 0.436 0.448
0.937 0.553 0.563
0.937 0.945 0.565
0.939 0.438 0.937
0.945 0.937 0.065
0.027 0.258 0.201
0.059 0.257 0.695
0.194 0.763 0.532
0.201 0.522 0.754
0.237 0.806 0.968
0.253 0.301 0.973
0.257 0.059 0.195
0.258 0.027 0.701
0.301 0.253 0.473
0.304 0.440 0.246
0.440 0.304 0.746
0.478 0.799 0.746
0.522 0.201 0.254
0.560 0.696 0.254
0.696 0.560 0.754
0.699 0.747 0.527
0.742 0.973 0.299
0.743 0.941 0.805
0.747 0.699 0.027
0.763 0.194 0.032
0.799 0.478 0.246
0.806 0.237 0.468
0.941 0.743 0.305
0.973 0.742 0.799
```

E (MP2020)	-138.64	eV for the cell shown
E	-1.905	eV/atom
crystal system	monoclinic
SG	C2/c, No. 15
ΔE_f	-8.5	kcal/mol of atoms

(3)
La2CdHg after structural relaxation, computed with GGA-PBE.

POSCAR file:
```
La2CdHg
1.0
0.000 3.931 3.931
3.931 0.000 3.931
3.931 3.931 0.000
La Cd Hg
2 1 1
Direct
0.250 0.250 0.250
0.750 0.750 0.750
0.000 0.000 0.000
0.500 0.500 0.500
```

E	-3.175	eV/atom
distance to the lowest polymorph of the same formula	0.0	meV per atom
crystal system	cubic
SG	Fm-3m, No. 225
ΔE_f	-9.2	kcal/mol of atoms

(4)
Li2CdHg after structural relaxation, computed with GGA-PBE.

POSCAR file:
```
Li2CdHg
1.0
0.000 3.332 3.332
3.332 0.000 3.332
3.332 3.332 0.000
Li Cd Hg
2 1 1
Direct
0.250 0.250 0.250
0.750 0.750 0.750
0.000 0.000 0.000
0.500 0.500 0.500
```

E	-1.572	eV/atom
crystal system	cubic
SG	Fm-3m, No. 225
ΔE_f	-7.2	kcal/mol of atoms